[1]
Below is crystalline Sr2CoO3 at its relaxed geometry, with properties calculated at the PBE with a Hubbard U level.

abc: 7.6616 7.6490 3.5784
angles: 76.68 76.29 27.03
Fractional positions:
Sr: 0.1569 0.1569 0.8431
Sr: 0.8431 0.8431 0.1569
Co: 0.5000 0.5000 0.5000
O: 0.0000 0.0000 0.0000
O: 0.3545 0.3545 0.6455
O: 0.6455 0.6455 0.3545

Calculated values
Corrected total energy (MP2020 scheme): -6.5063 eV/atom
Space-group type: Fmmm (69)
Formation energy from the elements: -2.2844 eV per atom



[2]
Below is crystalline Li6Co6O5F11 at its relaxed geometry, with properties calculated at the PBE with a Hubbard U level.

abc: 6.0331 6.0331 10.5087
angles: 107.19 107.19 59.03
Fractional positions:
Li: 0.0000 0.0000 0.0000
Li: 0.1405 0.1405 0.3821
Li: 0.5065 0.5065 0.5130
Li: 0.5683 0.5683 0.1973
Li: 0.6326 0.6326 0.8805
Li: 0.8141 0.8141 0.4521
Co: 0.0387 0.5840 0.1902
Co: 0.0785 0.0785 0.6946
Co: 0.0878 0.5333 0.6957
Co: 0.3148 0.3148 0.9239
Co: 0.5333 0.0878 0.6957
Co: 0.5840 0.0387 0.1902
O: 0.1966 0.1966 0.5756
O: 0.4336 0.4336 0.8195
O: 0.4377 0.9659 0.8189
O: 0.7020 0.7020 0.0844
O: 0.9659 0.4377 0.8189
F: 0.1689 0.7047 0.5763
F: 0.2031 0.2031 0.0731
F: 0.2043 0.6682 0.0780
F: 0.4230 0.4230 0.2968
F: 0.4665 0.9388 0.3151
F: 0.6682 0.2043 0.0780
F: 0.7047 0.1689 0.5763
F: 0.7060 0.7060 0.5765
F: 0.9363 0.9363 0.8030
F: 0.9388 0.4665 0.3151
F: 0.9407 0.9407 0.3228

Calculated values
Corrected total energy (MP2020 scheme): -5.8277 eV/atom
E above lowest polymorph: 0.0 kJ per mole of atoms
Space-group type: Cm (8)
Formation energy from the elements: -2.2597 eV per atom



[3]
Below is crystalline LiV2FeO7 at its relaxed geometry, with properties calculated at the PBE with a Hubbard U level.

abc: 13.6671 8.3083 14.5900
angles: 90.00 96.38 90.00
Fractional positions:
Li: 0.6375 0.6768 0.7116
Li: 0.6375 0.3232 0.2116
Li: 0.1375 0.1768 0.7116
Li: 0.1375 0.8232 0.2116
Li: 0.3367 0.3054 0.0349
Li: 0.3367 0.6946 0.5349
Li: 0.8367 0.8054 0.0349
Li: 0.8367 0.1946 0.5349
Li: 0.5247 0.1846 0.3778
Li: 0.5247 0.8154 0.8778
Li: 0.0247 0.6846 0.3778
Li: 0.0247 0.3154 0.8778
V: 0.4242 0.0264 0.1767
V: 0.4242 0.9736 0.6767
V: 0.9242 0.5264 0.1767
V: 0.9242 0.4736 0.6767
V: 0.7040 0.9625 0.3564
V: 0.7040 0.0375 0.8564
V: 0.2040 0.4625 0.3564
V: 0.2040 0.5375 0.8564
V: 0.5742 0.4582 0.5152
V: 0.5742 0.5418 0.0152
V: 0.0742 0.9582 0.5152
V: 0.0742 0.0418 0.0152
V: 0.6270 0.9543 0.5669
V: 0.6270 0.0457 0.0669
V: 0.1270 0.4543 0.5669
V: 0.1270 0.5457 0.0669
V: 0.2743 0.9737 0.4039
V: 0.2743 0.0263 0.9039
V: 0.7743 0.4737 0.4039
V: 0.7743 0.5263 0.9039
V: 0.4060 0.4596 0.2403
V: 0.4060 0.5404 0.7403
V: 0.9060 0.9596 0.2403
V: 0.9060 0.0404 0.7403
Fe: 0.4972 0.7996 0.3692
Fe: 0.4972 0.2004 0.8692
Fe: 0.9972 0.2996 0.3692
Fe: 0.9972 0.7004 0.8692
Fe: 0.8505 0.8252 0.5409
Fe: 0.8505 0.1748 0.0409
Fe: 0.3505 0.3252 0.5409
Fe: 0.3505 0.6748 0.0409
Fe: 0.7003 0.3073 0.7101
Fe: 0.7003 0.6927 0.2101
Fe: 0.2003 0.8073 0.7101
Fe: 0.2003 0.1927 0.2101
O: 0.4796 0.3220 0.4851
O: 0.4796 0.6780 0.9851
O: 0.9796 0.8220 0.4851
O: 0.9796 0.1780 0.9851
O: 0.3230 0.1501 0.1463
O: 0.3230 0.8499 0.6463
O: 0.8230 0.6501 0.1463
O: 0.8230 0.3499 0.6463
O: 0.2367 0.9933 0.2872
O: 0.2367 0.0067 0.7872
O: 0.7367 0.4933 0.2872
O: 0.7367 0.5067 0.7872
O: 0.3944 0.4859 0.1204
O: 0.3944 0.5141 0.6204
O: 0.8944 0.9859 0.1204
O: 0.8944 0.0141 0.6204
O: 0.4228 0.6424 0.2926
O: 0.4228 0.3576 0.7926
O: 0.9228 0.1424 0.2926
O: 0.9228 0.8576 0.7926
O: 0.2950 0.1608 0.4487
O: 0.2950 0.8392 0.9487
O: 0.7950 0.6608 0.4487
O: 0.7950 0.3392 0.9487
O: 0.5271 0.8848 0.6240
O: 0.5271 0.1152 0.1240
O: 0.0271 0.3848 0.6240
O: 0.0271 0.6152 0.1240
O: 0.6220 0.7920 0.3051
O: 0.6220 0.2080 0.8051
O: 0.1220 0.2920 0.3051
O: 0.1220 0.7080 0.8051
O: 0.5923 0.9688 0.4428
O: 0.5923 0.0312 0.9428
O: 0.0923 0.4688 0.4428
O: 0.0923 0.5312 0.9428
O: 0.6748 0.1360 0.3062
O: 0.6748 0.8640 0.8062
O: 0.1748 0.6360 0.3062
O: 0.1748 0.3640 0.8062
O: 0.6622 0.1386 0.6093
O: 0.6622 0.8614 0.1093
O: 0.1622 0.6386 0.6093
O: 0.1622 0.3614 0.1093
O: 0.6741 0.3826 0.4573
O: 0.6741 0.6174 0.9573
O: 0.1741 0.8826 0.4573
O: 0.1741 0.1174 0.9573
O: 0.2931 0.3707 0.2786
O: 0.2931 0.6293 0.7786
O: 0.7931 0.8707 0.2786
O: 0.7931 0.1293 0.7786
O: 0.5043 0.3423 0.2733
O: 0.5043 0.6577 0.7733
O: 0.0043 0.8423 0.2733
O: 0.0043 0.1577 0.7733
O: 0.4547 0.0033 0.2941
O: 0.4547 0.9967 0.7941
O: 0.9547 0.5033 0.2941
O: 0.9547 0.4967 0.7941
O: 0.5418 0.6445 0.4729
O: 0.5418 0.3555 0.9729
O: 0.0418 0.1445 0.4729
O: 0.0418 0.8555 0.9729
O: 0.4040 0.8426 0.1295
O: 0.4040 0.1574 0.6295
O: 0.9040 0.3426 0.1295
O: 0.9040 0.6574 0.6295
O: 0.7884 0.9984 0.4544
O: 0.7884 0.0016 0.9544
O: 0.2884 0.4984 0.4544
O: 0.2884 0.5016 0.9544
O: 0.6142 0.4642 0.6331
O: 0.6142 0.5358 0.1331
O: 0.1142 0.9642 0.6331
O: 0.1142 0.0358 0.1331
O: 0.3763 0.8523 0.4345
O: 0.3763 0.1477 0.9345
O: 0.8763 0.3523 0.4345
O: 0.8763 0.6477 0.9345
O: 0.7181 0.8173 0.5972
O: 0.7181 0.1827 0.0972
O: 0.2181 0.3173 0.5972
O: 0.2181 0.6827 0.0972

Calculated values
Corrected total energy (MP2020 scheme): -7.9763 eV/atom
Formation energy from the elements: -2.2324 eV per atom



[4]
Below is crystalline MgV4Zn2O12 at its relaxed geometry, with properties calculated at the PBE with a Hubbard U level.

abc: 5.0159 5.3417 7.7519
angles: 90.01 90.19 90.01
Fractional positions:
Mg: 0.0000 0.0000 0.0000
V: 0.4259 0.0014 0.2748
V: 0.4543 0.0014 0.7628
V: 0.9040 0.5015 0.7546
V: 0.9544 0.5014 0.2870
Zn: 0.3711 0.5005 0.9955
Zn: 0.8924 0.0022 0.4968
O: 0.0782 0.5010 0.4863
O: 0.1818 0.2521 0.8167
O: 0.1833 0.7491 0.8167
O: 0.1919 0.2549 0.1665
O: 0.1935 0.7465 0.1665
O: 0.2884 0.0009 0.4831
O: 0.5984 0.0018 0.9700
O: 0.7112 0.2454 0.6638
O: 0.7129 0.7589 0.6641
O: 0.7174 0.2439 0.3016
O: 0.7197 0.7614 0.3016
O: 0.7621 0.5020 0.9586

Calculated values
Corrected total energy (MP2020 scheme): -7.5042 eV/atom
E above lowest polymorph: 0.0 kJ per mole of atoms
Space-group type: P1 (1)
Formation energy from the elements: -2.2500 eV per atom



[5]
Below is crystalline LiCo3O6 at its relaxed geometry, with properties calculated at the PBE with a Hubbard U level.

abc: 4.9138 4.9319 10.4674
angles: 90.35 103.24 119.46
Fractional positions:
Li: 0.0000 0.0000 0.0000
Li: 0.3354 0.8295 0.5009
Co: 0.1653 0.2581 0.7506
Co: 0.1711 0.0927 0.2621
Co: 0.5019 0.7576 0.2527
Co: 0.5056 0.9243 0.7592
Co: 0.8227 0.4181 0.2465
Co: 0.8308 0.5922 0.7520
O: 0.1095 0.5675 0.6591
O: 0.1215 0.7527 0.1568
O: 0.2184 0.9556 0.8495
O: 0.2394 0.4680 0.3515
O: 0.4162 0.3798 0.1569
O: 0.4401 0.2214 0.6598
O: 0.5525 0.1038 0.3538
O: 0.5898 0.6367 0.8558
O: 0.7482 0.8752 0.6536
O: 0.7781 0.0402 0.1554
O: 0.9029 0.2910 0.8493
O: 0.9029 0.8027 0.3536

Calculated values
Corrected total energy (MP2020 scheme): -6.5673 eV/atom
E above lowest polymorph: 9.6 kJ per mole of atoms
Space-group type: P1 (1)
Formation energy from the elements: -1.2752 eV per atom



[6]
Below is crystalline CaFe2CoO7 at its relaxed geometry, with properties calculated at the PBE with a Hubbard U level.

abc: 7.2759 14.0303 10.6843
angles: 90.00 107.83 90.00
Fractional positions:
Ca: 0.0804 0.0039 0.2689
Ca: 0.0804 0.4961 0.7689
Ca: 0.3218 0.1238 0.9618
Ca: 0.3218 0.3762 0.4618
Ca: 0.6782 0.6238 0.5382
Ca: 0.6782 0.8762 0.0382
Ca: 0.9196 0.5039 0.2311
Ca: 0.9196 0.9961 0.7311
Fe: 0.1413 0.1576 0.5666
Fe: 0.1413 0.3424 0.0666
Fe: 0.1745 0.6336 0.5323
Fe: 0.1745 0.8664 0.0323
Fe: 0.4112 0.5127 0.1806
Fe: 0.4112 0.9873 0.6806
Fe: 0.4715 0.2153 0.2726
Fe: 0.4715 0.2847 0.7726
Fe: 0.5285 0.7153 0.2274
Fe: 0.5285 0.7847 0.7274
Fe: 0.5888 0.0127 0.3194
Fe: 0.5888 0.4873 0.8194
Fe: 0.8255 0.1336 0.9677
Fe: 0.8255 0.3664 0.4677
Fe: 0.8587 0.6576 0.9334
Fe: 0.8587 0.8424 0.4334
Co: 0.0236 0.7450 0.2487
Co: 0.0236 0.7550 0.7487
Co: 0.3798 0.6816 0.9259
Co: 0.3798 0.8184 0.4259
Co: 0.6202 0.1816 0.5741
Co: 0.6202 0.3184 0.0741
Co: 0.9764 0.2450 0.2513
Co: 0.9764 0.2550 0.7513
O: 0.0073 0.6515 0.6319
O: 0.0073 0.8485 0.1319
O: 0.0133 0.6453 0.3614
O: 0.0133 0.8547 0.8614
O: 0.0337 0.1573 0.3769
O: 0.0337 0.3427 0.8769
O: 0.1024 0.6617 0.8921
O: 0.1024 0.8383 0.3921
O: 0.2077 0.0292 0.5458
O: 0.2077 0.4708 0.0458
O: 0.2105 0.5072 0.5578
O: 0.2105 0.9928 0.0578
O: 0.2232 0.2188 0.7567
O: 0.2232 0.2812 0.2567
O: 0.2770 0.0162 0.7927
O: 0.2770 0.4838 0.2927
O: 0.2888 0.7364 0.2845
O: 0.2888 0.7636 0.7845
O: 0.3782 0.2271 0.5811
O: 0.3782 0.2729 0.0811
O: 0.3860 0.5765 0.8292
O: 0.3860 0.9235 0.3292
O: 0.3984 0.7096 0.5566
O: 0.3984 0.7904 0.0566
O: 0.4171 0.0903 0.1872
O: 0.4171 0.4097 0.6872
O: 0.4740 0.6198 0.0848
O: 0.4740 0.8802 0.5848
O: 0.5260 0.1198 0.4152
O: 0.5260 0.3802 0.9152
O: 0.5829 0.5903 0.3128
O: 0.5829 0.9097 0.8128
O: 0.6016 0.2096 0.9434
O: 0.6016 0.2904 0.4434
O: 0.6140 0.0765 0.6708
O: 0.6140 0.4235 0.1708
O: 0.6218 0.7271 0.9189
O: 0.6218 0.7729 0.4189
O: 0.7112 0.2364 0.2155
O: 0.7112 0.2636 0.7155
O: 0.7230 0.5162 0.7073
O: 0.7230 0.9838 0.2073
O: 0.7768 0.7188 0.7433
O: 0.7768 0.7812 0.2433
O: 0.7895 0.0072 0.9422
O: 0.7895 0.4928 0.4422
O: 0.7923 0.5292 0.9542
O: 0.7923 0.9708 0.4542
O: 0.8976 0.1617 0.6079
O: 0.8976 0.3383 0.1079
O: 0.9663 0.6573 0.1231
O: 0.9663 0.8427 0.6231
O: 0.9867 0.1453 0.1386
O: 0.9867 0.3547 0.6386
O: 0.9927 0.1515 0.8681
O: 0.9927 0.3485 0.3681

Calculated values
Corrected total energy (MP2020 scheme): -7.0616 eV/atom
Space-group type: P2_1/c (14)
Formation energy from the elements: -1.5443 eV per atom



[7]
Below is crystalline Li7Mn5O12 at its relaxed geometry, with properties calculated at the PBE with a Hubbard U level.

abc: 5.1701 6.0077 15.0795
angles: 95.61 95.75 106.94
Fractional positions:
Li: 0.0000 0.0000 0.0000
Li: 0.0012 0.5156 0.9958
Li: 0.1561 0.3492 0.1689
Li: 0.1606 0.8389 0.1654
Li: 0.3292 0.6794 0.3381
Li: 0.3455 0.1937 0.3409
Li: 0.4128 0.8350 0.9192
Li: 0.4949 0.0066 0.4948
Li: 0.5050 0.5134 0.5023
Li: 0.6586 0.8383 0.6672
Li: 0.6622 0.3484 0.6666
Li: 0.8332 0.1729 0.8377
Li: 0.8446 0.6898 0.8402
Li: 0.9165 0.3483 0.4188
Mn: 0.0768 0.6767 0.5839
Mn: 0.0812 0.1818 0.5825
Mn: 0.2494 0.0074 0.7532
Mn: 0.2634 0.5157 0.7534
Mn: 0.4176 0.3344 0.9172
Mn: 0.5712 0.1740 0.0815
Mn: 0.5767 0.6800 0.0818
Mn: 0.7494 0.5202 0.2527
Mn: 0.7549 0.0272 0.2526
Mn: 0.9086 0.8440 0.4182
O: 0.0268 0.8241 0.2981
O: 0.1428 0.0252 0.8713
O: 0.1553 0.4901 0.8726
O: 0.1703 0.6910 0.4630
O: 0.1822 0.1517 0.4602
O: 0.2982 0.3196 0.0338
O: 0.3028 0.8227 0.0475
O: 0.3360 0.0050 0.6282
O: 0.3816 0.5161 0.6349
O: 0.4713 0.2206 0.2077
O: 0.4986 0.6968 0.2105
O: 0.5026 0.8446 0.7872
O: 0.5285 0.3125 0.7972
O: 0.6381 0.5346 0.3715
O: 0.6520 0.0042 0.3718
O: 0.6805 0.1846 0.9621
O: 0.6829 0.6433 0.9579
O: 0.7757 0.8423 0.5313
O: 0.8283 0.3573 0.5517
O: 0.8533 0.0362 0.1289
O: 0.8530 0.5366 0.1329
O: 0.9749 0.7093 0.7100
O: 0.9989 0.1846 0.7096
O: 0.9988 0.3511 0.2870

Calculated values
Corrected total energy (MP2020 scheme): -7.0747 eV/atom
E above lowest polymorph: 2.1 kJ per mole of atoms
Space-group type: P1 (1)
Formation energy from the elements: -2.1352 eV per atom



[8]
Below is crystalline Sr2EuCrO6 at its relaxed geometry, with properties calculated at the PBE with a Hubbard U level.

abc: 5.8283 5.8283 5.8283
angles: 60.00 60.00 60.00
Fractional positions:
Sr: 0.2500 0.2500 0.2500
Sr: 0.7500 0.7500 0.7500
Eu: 0.0000 0.0000 0.0000
Cr: 0.5000 0.5000 0.5000
O: 0.2706 0.2706 0.7294
O: 0.2706 0.7294 0.2706
O: 0.2706 0.7294 0.7294
O: 0.7294 0.2706 0.2706
O: 0.7294 0.2706 0.7294
O: 0.7294 0.7294 0.2706

Calculated values
Corrected total energy (MP2020 scheme): -7.9472 eV/atom
Space-group type: Fm-3m (225)
Formation energy from the elements: -2.6495 eV per atom



[9]
Below is crystalline Sr2CrOsO6 at its relaxed geometry, with properties calculated at the PBE with a Hubbard U level.

abc: 5.5771 5.5771 5.5771
angles: 60.47 60.47 60.47
Fractional positions:
Sr: 0.2503 0.2503 0.2503
Sr: 0.7497 0.7497 0.7497
Cr: 0.5000 0.5000 0.5000
Os: 0.0000 0.0000 0.0000
O: 0.2057 0.7518 0.2914
O: 0.2482 0.7086 0.7943
O: 0.2914 0.2057 0.7518
O: 0.7086 0.7943 0.2482
O: 0.7518 0.2914 0.2057
O: 0.7943 0.2482 0.7086

Calculated values
Corrected total energy (MP2020 scheme): -7.8881 eV/atom
Space-group type: R-3 (148)
Formation energy from the elements: -2.4933 eV per atom



[10]
Below is crystalline Sr4MnRuO8 at its relaxed geometry, with properties calculated at the PBE with a Hubbard U level.

abc: 3.9269 3.9269 12.6808
angles: 90.00 90.00 90.00
Fractional positions:
Sr: 0.0000 0.0000 0.1377
Sr: 0.0000 0.0000 0.8623
Sr: 0.5000 0.5000 0.3479
Sr: 0.5000 0.5000 0.6521
Mn: 0.5000 0.5000 0.0000
Ru: 0.0000 0.0000 0.5000
O: 0.0000 0.0000 0.3389
O: 0.0000 0.0000 0.6611
O: 0.0000 0.5000 0.0000
O: 0.0000 0.5000 0.5000
O: 0.5000 0.0000 0.0000
O: 0.5000 0.0000 0.5000
O: 0.5000 0.5000 0.1581
O: 0.5000 0.5000 0.8419

Calculated values
Corrected total energy (MP2020 scheme): -7.2233 eV/atom
E above lowest polymorph: 1.5 kJ per mole of atoms
Space-group type: P4/mmm (123)
Formation energy from the elements: -2.5963 eV per atom